No. 1
VASP calculation (r²SCAN) on a geometry-optimized PW4Cl11 structure.

abc: 8.584 8.584 11.438
angles: 90.00 90.00 109.09
Element x y z (fractional)
P 0.175 0.825 0.750
P 0.825 0.175 0.250
W 0.146 0.594 0.628
W 0.146 0.594 0.872
W 0.406 0.854 0.628
W 0.406 0.854 0.872
W 0.594 0.146 0.128
W 0.594 0.146 0.372
W 0.854 0.406 0.128
W 0.854 0.406 0.372
Cl 0.020 0.320 0.514
Cl 0.020 0.320 0.986
Cl 0.030 0.970 0.750
Cl 0.107 0.514 0.250
Cl 0.256 0.427 0.750
Cl 0.320 0.020 0.014
Cl 0.320 0.020 0.486
Cl 0.372 0.628 0.005
Cl 0.372 0.628 0.495
Cl 0.427 0.256 0.250
Cl 0.486 0.893 0.250
Cl 0.514 0.107 0.750
Cl 0.573 0.744 0.750
Cl 0.628 0.372 0.505
Cl 0.628 0.372 0.995
Cl 0.680 0.980 0.514
Cl 0.680 0.980 0.986
Cl 0.744 0.573 0.250
Cl 0.893 0.486 0.750
Cl 0.970 0.030 0.250
Cl 0.980 0.680 0.014
Cl 0.980 0.680 0.486

Results
The formation energy is -0.88 eV/atom.

=====

No. 2
VASP calculation (r²SCAN) on a geometry-optimized TaFeRu2 structure.

abc: 4.354 4.354 4.354
angles: 60.00 60.00 60.00
Element x y z (fractional)
Ta 0.000 0.000 0.000
Fe 0.500 0.500 0.500
Ru 0.250 0.250 0.250
Ru 0.750 0.750 0.750

Results
The formation energy is -0.31 eV/atom.

=====

No. 3
VASP calculation (r²SCAN) on a geometry-optimized KInBr3 structure.

abc: 8.604 8.604 10.876
angles: 90.00 90.00 120.00
Element x y z (fractional)
K 0.000 0.000 0.237
K 0.000 0.000 0.763
K 0.333 0.667 0.374
K 0.667 0.333 0.626
In 0.333 0.667 0.747
In 0.333 0.667 0.999
In 0.667 0.333 0.001
In 0.667 0.333 0.253
Br 0.089 0.696 0.124
Br 0.100 0.715 0.624
Br 0.285 0.385 0.624
Br 0.304 0.393 0.124
Br 0.385 0.100 0.376
Br 0.393 0.089 0.876
Br 0.607 0.911 0.124
Br 0.615 0.900 0.624
Br 0.696 0.607 0.876
Br 0.715 0.615 0.376
Br 0.900 0.285 0.376
Br 0.911 0.304 0.876

Results
The formation energy is -1.40 eV/atom.

=====

No. 4
VASP calculation (r²SCAN) on a geometry-optimized LiZr2Os structure.

abc: 4.658 4.658 4.658
angles: 60.00 60.00 60.00
Element x y z (fractional)
Li 0.000 0.000 0.000
Zr 0.250 0.250 0.250
Zr 0.750 0.750 0.750
Os 0.500 0.500 0.500

Results
The formation energy is -0.39 eV/atom.

=====

No. 5
VASP calculation (r²SCAN) on a geometry-optimized YbIn5Rh structure.

abc: 4.620 4.620 7.366
angles: 90.00 90.00 90.00
Element x y z (fractional)
Yb 0.000 0.000 0.000
In 0.000 0.500 0.298
In 0.000 0.500 0.702
In 0.500 0.000 0.298
In 0.500 0.000 0.702
In 0.500 0.500 0.000
Rh 0.000 0.000 0.500

Results
The formation energy is -0.49 eV/atom.

=====

No. 6
VASP calculation (r²SCAN) on a geometry-optimized ErZn2 structure.

abc: 5.559 5.559 5.559
angles: 133.31 102.68 95.42
Element x y z (fractional)
Er 0.280 0.030 0.250
Er 0.720 0.970 0.750
Zn 0.122 0.666 0.456
Zn 0.290 0.334 0.956
Zn 0.710 0.666 0.044
Zn 0.878 0.334 0.544

Results
The formation energy is -0.44 eV/atom.

=====

No. 7
VASP calculation (r²SCAN) on a geometry-optimized K2HgS2 structure.

abc: 10.827 8.063 7.092
angles: 90.00 90.00 90.00
Element x y z (fractional)
K 0.105 0.250 0.000
K 0.105 0.250 0.500
K 0.388 0.048 0.250
K 0.388 0.452 0.750
K 0.612 0.548 0.250
K 0.612 0.952 0.750
K 0.895 0.750 0.000
K 0.895 0.750 0.500
Hg 0.215 0.663 0.250
Hg 0.215 0.837 0.750
Hg 0.785 0.163 0.250
Hg 0.785 0.337 0.750
S 0.108 0.585 0.750
S 0.108 0.915 0.250
S 0.335 0.076 0.750
S 0.335 0.424 0.250
S 0.665 0.576 0.750
S 0.665 0.924 0.250
S 0.892 0.085 0.750
S 0.892 0.415 0.250

Results
The formation energy is -0.99 eV/atom.

=====

No. 8
VASP calculation (r²SCAN) on a geometry-optimized CeH8S2O12 structure.

abc: 14.609 11.154 5.567
angles: 90.00 90.00 90.00
Element x y z (fractional)
Ce 0.169 0.250 0.125
Ce 0.331 0.750 0.625
Ce 0.669 0.250 0.375
Ce 0.831 0.750 0.875
H 0.007 0.124 0.872
H 0.007 0.376 0.872
H 0.015 0.679 0.648
H 0.015 0.821 0.648
H 0.095 0.052 0.801
H 0.095 0.448 0.801
H 0.174 0.680 0.959
H 0.174 0.820 0.959
H 0.326 0.180 0.459
H 0.326 0.320 0.459
H 0.405 0.552 0.301
H 0.405 0.948 0.301
H 0.485 0.179 0.148
H 0.485 0.321 0.148
H 0.493 0.624 0.372
H 0.493 0.876 0.372
H 0.507 0.124 0.628
H 0.507 0.376 0.628
H 0.515 0.679 0.852
H 0.515 0.821 0.852
H 0.595 0.052 0.699
H 0.595 0.448 0.699
H 0.674 0.680 0.541
H 0.674 0.820 0.541
H 0.826 0.180 0.041
H 0.826 0.320 0.041
H 0.905 0.552 0.199
H 0.905 0.948 0.199
H 0.985 0.179 0.352
H 0.985 0.321 0.352
H 0.993 0.624 0.128
H 0.993 0.876 0.128
S 0.149 0.555 0.383
S 0.149 0.945 0.383
S 0.351 0.055 0.883
S 0.351 0.445 0.883
S 0.649 0.555 0.117
S 0.649 0.945 0.117
S 0.851 0.055 0.617
S 0.851 0.445 0.617
O 0.023 0.250 0.316
O 0.074 0.123 0.889
O 0.074 0.377 0.889
O 0.092 0.571 0.597
O 0.092 0.929 0.597
O 0.105 0.603 0.167
O 0.105 0.897 0.167
O 0.168 0.075 0.356
O 0.168 0.425 0.356
O 0.200 0.750 0.877
O 0.239 0.617 0.414
O 0.239 0.883 0.414
O 0.261 0.117 0.914
O 0.261 0.383 0.914
O 0.300 0.250 0.377
O 0.332 0.575 0.856
O 0.332 0.925 0.856
O 0.395 0.103 0.667
O 0.395 0.397 0.667
O 0.408 0.071 0.097
O 0.408 0.429 0.097
O 0.426 0.623 0.389
O 0.426 0.877 0.389
O 0.477 0.750 0.816
O 0.523 0.250 0.184
O 0.574 0.123 0.611
O 0.574 0.377 0.611
O 0.592 0.571 0.903
O 0.592 0.929 0.903
O 0.605 0.603 0.333
O 0.605 0.897 0.333
O 0.668 0.075 0.144
O 0.668 0.425 0.144
O 0.700 0.750 0.623
O 0.739 0.617 0.086
O 0.739 0.883 0.086
O 0.761 0.117 0.586
O 0.761 0.383 0.586
O 0.800 0.250 0.123
O 0.832 0.575 0.644
O 0.832 0.925 0.644
O 0.895 0.103 0.833
O 0.895 0.397 0.833
O 0.908 0.071 0.403
O 0.908 0.429 0.403
O 0.926 0.623 0.111
O 0.926 0.877 0.111
O 0.977 0.750 0.684

Results
The formation energy is -1.56 eV/atom.

=====

No. 9
VASP calculation (r²SCAN) on a geometry-optimized Yb2TlSn structure.

abc: 5.262 5.262 5.262
angles: 60.00 60.00 60.00
Element x y z (fractional)
Yb 0.250 0.250 0.250
Yb 0.750 0.750 0.750
Tl 0.000 0.000 0.000
Sn 0.500 0.500 0.500

Results
The formation energy is -0.46 eV/atom.

=====

No. 10
VASP calculation (r²SCAN) on a geometry-optimized CuPN2 structure.

abc: 4.967 4.967 4.967
angles: 126.71 126.71 78.73
Element x y z (fractional)
Cu 0.000 0.000 0.000
Cu 0.750 0.250 0.500
P 0.250 0.750 0.500
P 0.500 0.500 0.000
N 0.210 0.125 0.585
N 0.375 0.790 0.915
N 0.540 0.625 0.415
N 0.875 0.460 0.085

Results
The formation energy is -0.31 eV/atom.

=====

No. 11
VASP calculation (r²SCAN) on a geometry-optimized BaPbO3 structure.

abc: 6.104 6.104 6.104
angles: 120.71 120.71 88.78
Element x y z (fractional)
Ba 0.250 0.750 0.500
Ba 0.750 0.250 0.500
Pb 0.000 0.000 0.000
Pb 0.500 0.500 0.000
O 0.204 0.704 0.907
O 0.250 0.250 0.000
O 0.296 0.204 0.500
O 0.704 0.796 0.500
O 0.750 0.750 0.000
O 0.796 0.296 0.093

Results
The formation energy is -1.89 eV/atom.

=====

No. 12
VASP calculation (r²SCAN) on a geometry-optimized Sr3Ga4Ir4 structure.

abc: 6.720 6.720 6.720
angles: 109.47 109.47 109.47
Element x y z (fractional)
Sr 0.000 0.500 0.500
Sr 0.500 0.000 0.500
Sr 0.500 0.500 0.000
Ga 0.000 0.000 0.617
Ga 0.000 0.617 0.000
Ga 0.383 0.383 0.383
Ga 0.617 0.000 0.000
Ir 0.000 0.000 0.256
Ir 0.000 0.256 0.000
Ir 0.256 0.000 0.000
Ir 0.744 0.744 0.744

Results
The formation energy is -0.64 eV/atom.